Li2U5MoO19: relaxed, PBE with a Hubbard U.

Values from the calculation:
* crystal system: monoclinic
* space-group type: P2_1/c
* theoretical density: 6.426 Mg/m³
* E_tot: -0.64292 Ry/atom
* E_form: -3.233 eV per atom

Cell: 8.0084 20.2593 10.2218 Å, 90.00 91.40 90.00°
Element x y z (fractional)
Li (0.2065, 0.1068, 0.1617)
Li (0.2065, 0.3932, 0.6617)
Li (0.2438, 0.6184, 0.3320)
Li (0.2438, 0.8816, 0.8320)
Li (0.7562, 0.1184, 0.1680)
Li (0.7562, 0.3816, 0.6680)
Li (0.7935, 0.6068, 0.3383)
Li (0.7935, 0.8932, 0.8383)
U (0.0000, 0.0000, 0.0000)
U (0.0000, 0.5000, 0.5000)
U (0.0181, 0.6360, 0.8190)
U (0.0181, 0.8640, 0.3190)
U (0.2209, 0.2466, 0.9074)
U (0.2209, 0.2534, 0.4074)
U (0.2709, 0.7358, 0.0606)
U (0.2709, 0.7642, 0.5606)
U (0.4731, 0.1402, 0.6850)
U (0.4731, 0.3598, 0.1850)
U (0.5000, 0.0000, 0.0000)
U (0.5000, 0.5000, 0.5000)
U (0.5269, 0.6402, 0.8150)
U (0.5269, 0.8598, 0.3150)
U (0.7291, 0.2358, 0.4394)
U (0.7291, 0.2642, 0.9394)
U (0.7791, 0.7466, 0.5926)
U (0.7791, 0.7534, 0.0926)
U (0.9819, 0.1360, 0.6810)
U (0.9819, 0.3640, 0.1810)
Mo (0.2938, 0.0121, 0.4679)
Mo (0.2938, 0.4879, 0.9679)
Mo (0.7062, 0.5121, 0.0321)
Mo (0.7062, 0.9879, 0.5321)
O (0.0089, 0.1972, 0.5309)
O (0.0089, 0.3028, 0.0309)
O (0.0430, 0.5737, 0.6818)
O (0.0430, 0.9263, 0.1818)
O (0.0463, 0.5686, 0.3811)
O (0.0463, 0.9314, 0.8811)
O (0.0543, 0.7151, 0.6700)
O (0.0543, 0.7849, 0.1700)
O (0.1321, 0.5495, 0.9572)
O (0.1321, 0.9505, 0.4572)
O (0.2137, 0.1844, 0.2937)
O (0.2137, 0.3156, 0.7937)
O (0.2182, 0.0706, 0.5941)
O (0.2182, 0.4294, 0.0941)
O (0.2254, 0.1697, 0.7489)
O (0.2254, 0.3303, 0.2489)
O (0.2277, 0.1792, 0.0249)
O (0.2277, 0.3208, 0.5249)
O (0.2475, 0.0308, 0.0243)
O (0.2475, 0.4692, 0.5243)
O (0.2660, 0.6951, 0.4469)
O (0.2660, 0.8049, 0.9469)
O (0.2710, 0.6626, 0.1646)
O (0.2710, 0.8374, 0.6646)
O (0.2727, 0.6631, 0.8672)
O (0.2727, 0.8369, 0.3672)
O (0.2809, 0.0506, 0.3174)
O (0.2809, 0.4494, 0.8174)
O (0.4320, 0.5643, 0.3820)
O (0.4320, 0.9357, 0.8820)
O (0.4387, 0.1996, 0.5327)
O (0.4387, 0.3004, 0.0327)
O (0.4724, 0.5551, 0.9595)
O (0.4724, 0.9449, 0.4595)
O (0.4845, 0.5773, 0.6793)
O (0.4845, 0.9227, 0.1793)
O (0.4904, 0.7181, 0.6712)
O (0.4904, 0.7819, 0.1712)
O (0.5096, 0.2181, 0.8288)
O (0.5096, 0.2819, 0.3288)
O (0.5155, 0.0773, 0.8207)
O (0.5155, 0.4227, 0.3207)
O (0.5276, 0.0551, 0.5405)
O (0.5276, 0.4449, 0.0405)
O (0.5613, 0.6996, 0.9673)
O (0.5613, 0.8004, 0.4673)
O (0.5680, 0.0643, 0.1180)
O (0.5680, 0.4357, 0.6180)
O (0.7191, 0.5506, 0.1826)
O (0.7191, 0.9494, 0.6826)
O (0.7273, 0.1631, 0.6328)
O (0.7273, 0.3369, 0.1328)
O (0.7290, 0.1626, 0.3354)
O (0.7290, 0.3374, 0.8354)
O (0.7340, 0.1951, 0.0531)
O (0.7340, 0.3049, 0.5531)
O (0.7525, 0.5308, 0.4757)
O (0.7525, 0.9692, 0.9757)
O (0.7723, 0.6792, 0.4751)
O (0.7723, 0.8208, 0.9751)
O (0.7746, 0.6697, 0.7511)
O (0.7746, 0.8303, 0.2511)
O (0.7818, 0.5706, 0.9059)
O (0.7818, 0.9294, 0.4059)
O (0.7863, 0.6844, 0.2063)
O (0.7863, 0.8156, 0.7063)
O (0.8679, 0.0495, 0.5428)
O (0.8679, 0.4505, 0.0428)
O (0.9457, 0.2151, 0.8300)
O (0.9457, 0.2849, 0.3300)
O (0.9537, 0.0686, 0.1189)
O (0.9537, 0.4314, 0.6189)
O (0.9570, 0.0737, 0.8182)
O (0.9570, 0.4263, 0.3182)
O (0.9911, 0.6972, 0.9691)
O (0.9911, 0.8028, 0.4691)